Below is Sr3GeO5 after structural relaxation, with properties calculated at the PBE-GGA level.

Lattice parameters (Å, degrees): 7.5218 7.5218 7.5218 124.72 124.72 82.01
Positions (direct):
Sr: 0.0000 0.0000 0.0000
Sr: 0.0634 0.5634 0.1352
Sr: 0.4281 0.9281 0.8648
Sr: 0.5000 0.5000 0.0000
Sr: 0.5634 0.4281 0.5000
Sr: 0.9281 0.0634 0.5000
Ge: 0.4942 0.9942 0.5000
Ge: 0.9942 0.4942 0.5000
O: 0.0363 0.5363 0.7815
O: 0.2316 0.4496 0.5000
O: 0.2375 0.2375 0.0000
O: 0.2547 0.0363 0.5000
O: 0.4496 0.9496 0.2180
O: 0.5363 0.7547 0.5000
O: 0.7316 0.2316 0.7820
O: 0.7375 0.7375 0.0000
O: 0.7547 0.2547 0.2185
O: 0.9496 0.7316 0.5000

Its symmetry is I4cm (108). The calculation puts the total energy at -6.36 eV/atom. The magnetization comes out at 0.00 μB per cell. As for the calculated density: 4.990 g/cm3. The formation energy from the elements comes out at -2.913 eV per atom. The value obtained for the largest piezoelectric modulus is 0.39 C/m2.

***

Below is YZnPd after structural relaxation, with properties calculated at the PBE-GGA level.

Lattice parameters (Å, degrees): 7.3609 7.3609 3.8328 90.00 90.00 120.00
Positions (direct):
Y: 0.0000 0.4070 0.0000
Y: 0.4070 0.0000 0.0000
Y: 0.5930 0.5930 0.0000
Zn: 0.0000 0.7478 0.5000
Zn: 0.2522 0.2522 0.5000
Zn: 0.7478 0.0000 0.5000
Pd: 0.0000 0.0000 0.0000
Pd: 0.3333 0.6667 0.5000
Pd: 0.6667 0.3333 0.5000

Its symmetry is P-62m (189). The calculation puts the total energy at -5.05 eV/atom. As for the calculated density: 7.222 g/cm3. The formation energy from the elements comes out at -0.750 eV per atom.

***

Below is Na2B4O11 after structural relaxation, with properties calculated at the PBE-GGA level.

Lattice parameters (Å, degrees): 7.1583 9.3205 14.9586 90.00 95.17 90.00
Positions (direct):
Na: 0.2138 0.2495 0.3787
Na: 0.2138 0.2505 0.8787
Na: 0.2626 0.0094 0.7153
Na: 0.2626 0.4906 0.2153
Na: 0.7374 0.5094 0.7847
Na: 0.7374 0.9906 0.2847
Na: 0.7862 0.7495 0.1213
Na: 0.7862 0.7505 0.6213
B: 0.0041 0.6639 0.4301
B: 0.0041 0.8361 0.9301
B: 0.0577 0.7491 0.7779
B: 0.0577 0.7509 0.2779
B: 0.0800 0.5048 0.6978
B: 0.0800 0.9952 0.1978
B: 0.3607 0.6619 0.7279
B: 0.3607 0.8381 0.2279
B: 0.6393 0.1619 0.7721
B: 0.6393 0.3381 0.2721
B: 0.9200 0.0048 0.8022
B: 0.9200 0.4952 0.3022
B: 0.9423 0.2491 0.7221
B: 0.9423 0.2509 0.2221
B: 0.9959 0.1639 0.0699
B: 0.9959 0.3361 0.5699
O: 0.0004 0.1984 0.9807
O: 0.0004 0.3016 0.4807
O: 0.9996 0.6984 0.5193
O: 0.9996 0.8016 0.0193
O: 0.0160 0.0257 0.1022
O: 0.0160 0.4743 0.6022
O: 0.0219 0.1300 0.7750
O: 0.0219 0.3700 0.2750
O: 0.0281 0.7225 0.8736
O: 0.0281 0.7775 0.3736
O: 0.0373 0.1170 0.2556
O: 0.0373 0.3830 0.7556
O: 0.2610 0.7294 0.2647
O: 0.2610 0.7706 0.7647
O: 0.2864 0.5257 0.7113
O: 0.2864 0.9743 0.2113
O: 0.3944 0.5087 0.0602
O: 0.3944 0.9913 0.5602
O: 0.4384 0.0428 0.4251
O: 0.4384 0.4572 0.9251
O: 0.4606 0.1789 0.7942
O: 0.4606 0.3211 0.2942
O: 0.4759 0.0607 0.0106
O: 0.4759 0.4393 0.5106
O: 0.5241 0.5607 0.4894
O: 0.5241 0.9393 0.9894
O: 0.5394 0.6789 0.7058
O: 0.5394 0.8211 0.2058
O: 0.5616 0.5428 0.0749
O: 0.5616 0.9572 0.5749
O: 0.6056 0.0087 0.4398
O: 0.6056 0.4913 0.9398
O: 0.7136 0.0257 0.7887
O: 0.7136 0.4743 0.2887
O: 0.7390 0.2294 0.2353
O: 0.7390 0.2706 0.7353
O: 0.9627 0.6170 0.2444
O: 0.9627 0.8830 0.7444
O: 0.9719 0.2225 0.6264
O: 0.9719 0.2775 0.1264
O: 0.9781 0.6300 0.7250
O: 0.9781 0.8700 0.2250
O: 0.9840 0.5257 0.3978
O: 0.9840 0.9743 0.8978

Its symmetry is P2_1/c (14). The calculation puts the total energy at -6.56 eV/atom. The magnetization comes out at 16.00 μB per cell. As for the calculated density: 1.772 g/cm3. The formation energy from the elements comes out at -1.734 eV per atom. For the excess energy over the best structure of this formula in the dataset, the calculation gives 0 meV per atom.

***

Below is MgSi2 after structural relaxation, with properties calculated at the PBE-GGA level.

Lattice parameters (Å, degrees): 5.0727 5.0727 12.7956 104.44 104.44 41.37
Positions (direct):
Mg: 0.0046 0.0046 0.1166
Mg: 0.3300 0.3300 0.6927
Mg: 0.6700 0.6700 0.3073
Mg: 0.9954 0.9954 0.8834
Si: 0.1399 0.1399 0.4814
Si: 0.2891 0.2891 0.9251
Si: 0.3295 0.3295 0.2010
Si: 0.4297 0.4297 0.3968
Si: 0.5703 0.5703 0.6032
Si: 0.6705 0.6705 0.7990
Si: 0.7109 0.7109 0.0749
Si: 0.8601 0.8601 0.5186

Its symmetry is C2/m (12). The calculation puts the total energy at -3.95 eV/atom. The magnetization comes out at 0.01 μB per cell. As for the calculated density: 2.549 g/cm3. The formation energy from the elements comes out at 0.252 eV per atom. For the excess energy over the best structure of this formula in the dataset, the calculation gives 174 meV per atom.

***

Below is Pa after structural relaxation, with properties calculated at the PBE-GGA level.

Lattice parameters (Å, degrees): 4.6545 4.6545 4.6545 90.00 90.00 90.00
Positions (direct):
Pa: 0.0000 0.0000 0.0000
Pa: 0.0000 0.5000 0.5000
Pa: 0.5000 0.0000 0.5000
Pa: 0.5000 0.5000 0.0000

Its symmetry is Fm-3m (225). The calculation puts the total energy at -9.51 eV/atom. As for the calculated density: 15.218 g/cm3. The formation energy from the elements comes out at 0.000 eV per atom. For the excess energy over the best structure of this formula in the dataset, the calculation gives 0 meV per atom.

***

Below is PuC after structural relaxation, with properties calculated at the PBE-GGA level.

Lattice parameters (Å, degrees): 4.9898 4.9898 4.9898 90.00 90.00 90.00
Positions (direct):
Pu: 0.0000 0.0000 0.0000
Pu: 0.0000 0.5000 0.5000
Pu: 0.5000 0.0000 0.5000
Pu: 0.5000 0.5000 0.0000
C: 0.0000 0.0000 0.5000
C: 0.0000 0.5000 0.0000
C: 0.5000 0.0000 0.0000
C: 0.5000 0.5000 0.5000

Its symmetry is Fm-3m (225). The calculation puts the total energy at -11.67 eV/atom. The magnetization comes out at 16.72 μB per cell. As for the calculated density: 13.687 g/cm3. The formation energy from the elements comes out at 0.082 eV per atom.

***

Below is CaTm2O4 after structural relaxation, with properties calculated at the PBE-GGA level.

Lattice parameters (Å, degrees): 6.7444 6.7444 6.7444 60.00 60.00 60.00
Positions (direct):
Ca: 0.1250 0.1250 0.1250
Ca: 0.8750 0.8750 0.8750
Tm: 0.0000 0.5000 0.5000
Tm: 0.5000 0.0000 0.5000
Tm: 0.5000 0.5000 0.0000
Tm: 0.5000 0.5000 0.5000
O: 0.2641 0.2641 0.2641
O: 0.2641 0.2641 0.7077
O: 0.2641 0.7077 0.2641
O: 0.2923 0.7359 0.7359
O: 0.7077 0.2641 0.2641
O: 0.7359 0.2923 0.7359
O: 0.7359 0.7359 0.2923
O: 0.7359 0.7359 0.7359

Its symmetry is Fd-3m (227). The calculation puts the total energy at -7.84 eV/atom. The magnetization comes out at 0.00 μB per cell. As for the calculated density: 6.766 g/cm3. The formation energy from the elements comes out at -3.843 eV per atom. For the excess energy over the best structure of this formula in the dataset, the calculation gives 0 meV per atom.

***

Below is K2CdP2O7 after structural relaxation, with properties calculated at the PBE-GGA level.

Lattice parameters (Å, degrees): 5.7007 5.7007 13.0023 104.39 104.39 59.34
Positions (direct):
K: 0.0595 0.6423 0.8316
K: 0.3577 0.9405 0.6684
K: 0.6423 0.0595 0.3316
K: 0.9405 0.3577 0.1684
Cd: 0.0000 0.5000 0.5000
Cd: 0.5000 0.0000 0.0000
P: 0.2551 0.6893 0.1302
P: 0.3107 0.7449 0.3698
P: 0.6893 0.2551 0.6302
P: 0.7449 0.3107 0.8698
O: 0.0164 0.2090 0.9451
O: 0.1574 0.8426 0.2500
O: 0.1996 0.5560 0.3791
O: 0.2090 0.0164 0.4451
O: 0.3777 0.4119 0.6347
O: 0.4119 0.3777 0.1347
O: 0.4440 0.8004 0.1209
O: 0.5560 0.1996 0.8791
O: 0.5881 0.6223 0.8653
O: 0.6223 0.5881 0.3653
O: 0.7910 0.9836 0.5549
O: 0.8004 0.4440 0.6209
O: 0.8426 0.1574 0.7500
O: 0.9836 0.7910 0.0549

Its symmetry is C2/c (15). The calculation puts the total energy at -6.18 eV/atom. The magnetization comes out at 0.00 μB per cell. As for the calculated density: 3.476 g/cm3. The formation energy from the elements comes out at -2.527 eV per atom.